Entry 1:
! FeNiP2O8 | the Materials Project | GGA+U | relaxed; values from VASP
! SG = No. 11
! Formation enthalpy at 0 K = -2.1185 eV/atom
! MP2020-corrected energy = -7.51 eV/atom
&SYSTEM
  ibrav = 0, nat = 24, ntyp = 4
/
ATOMIC_SPECIES
Fe 55.84 Fe.upf
Ni 58.69 Ni.upf
P 30.97 P.upf
O 16.00 O.upf
CELL_PARAMETERS angstrom
4.835 0.000 0.000
0.000 5.845 0.000
-0.033 0.000 9.922
ATOMIC_POSITIONS crystal
Fe 0.034 0.250 0.273
Fe 0.966 0.750 0.727
Ni 0.457 0.250 0.774
Ni 0.543 0.750 0.226
P 0.082 0.750 0.402
P 0.415 0.750 0.906
P 0.585 0.250 0.094
P 0.918 0.250 0.598
O 0.157 0.750 0.553
O 0.224 0.544 0.329
O 0.224 0.956 0.329
O 0.233 0.250 0.609
O 0.264 0.548 0.830
O 0.264 0.952 0.830
O 0.274 0.250 0.114
O 0.338 0.750 0.056
O 0.662 0.250 0.944
O 0.726 0.750 0.886
O 0.736 0.048 0.170
O 0.736 0.452 0.170
O 0.767 0.750 0.391
O 0.776 0.044 0.671
O 0.776 0.456 0.671
O 0.843 0.250 0.447

=====

Entry 2:
! K3V3Bi2O12 | the Materials Project | GGA+U | relaxed; values from VASP
! SG = No. 15
! Formation enthalpy at 0 K = -2.2738 eV/atom
! MP2020-corrected energy = -7.16 eV/atom
&SYSTEM
  ibrav = 0, nat = 40, ntyp = 4
/
ATOMIC_SPECIES
K 39.10 K.upf
V 50.94 V.upf
Bi 208.98 Bi.upf
O 16.00 O.upf
CELL_PARAMETERS angstrom
7.077 -7.055 0.000
7.077 7.055 0.000
-2.870 0.000 6.699
ATOMIC_POSITIONS crystal
K 0.000 0.000 0.000
K 0.000 0.000 0.500
K 0.227 0.773 0.750
K 0.488 0.512 0.750
K 0.512 0.488 0.250
K 0.773 0.227 0.250
V 0.149 0.366 0.363
V 0.253 0.747 0.250
V 0.366 0.149 0.863
V 0.634 0.851 0.137
V 0.747 0.253 0.750
V 0.851 0.634 0.637
Bi 0.117 0.415 0.846
Bi 0.415 0.117 0.346
Bi 0.585 0.883 0.654
Bi 0.883 0.585 0.154
O 0.048 0.425 0.156
O 0.078 0.208 0.350
O 0.104 0.742 0.324
O 0.158 0.487 0.597
O 0.208 0.078 0.850
O 0.258 0.896 0.176
O 0.259 0.602 0.046
O 0.318 0.347 0.348
O 0.347 0.318 0.848
O 0.398 0.741 0.454
O 0.425 0.048 0.656
O 0.487 0.158 0.097
O 0.513 0.842 0.903
O 0.575 0.952 0.344
O 0.602 0.259 0.546
O 0.653 0.682 0.152
O 0.682 0.653 0.652
O 0.741 0.398 0.954
O 0.742 0.104 0.824
O 0.792 0.922 0.150
O 0.842 0.513 0.403
O 0.896 0.258 0.676
O 0.922 0.792 0.650
O 0.952 0.575 0.844

=====

Entry 3:
! FeOF | the Materials Project | GGA+U | relaxed; values from VASP
! SG = No. 31
! Formation enthalpy at 0 K = -2.1106 eV/atom
! Largest piezoelectric modulus = 1.2 C/m2
! MP2020-corrected energy = -7.22 eV/atom
&SYSTEM
  ibrav = 0, nat = 6, ntyp = 3
/
ATOMIC_SPECIES
Fe 55.84 Fe.upf
O 16.00 O.upf
F 19.00 F.upf
CELL_PARAMETERS angstrom
3.082 0.000 0.000
0.000 4.706 0.000
0.000 0.000 4.739
ATOMIC_POSITIONS crystal
Fe 0.000 0.208 0.000
Fe 0.500 0.792 0.500
O 0.000 0.946 0.694
O 0.500 0.054 0.194
F 0.000 0.553 0.300
F 0.500 0.447 0.800

=====

Entry 4:
! MgV2O4 | the Materials Project | GGA+U | relaxed; values from VASP
! SG = No. 2
! Formation enthalpy at 0 K = -2.6416 eV/atom
! MP2020-corrected energy = -8.29 eV/atom
&SYSTEM
  ibrav = 0, nat = 7, ntyp = 3
/
ATOMIC_SPECIES
Mg 24.30 Mg.upf
V 50.94 V.upf
O 16.00 O.upf
CELL_PARAMETERS angstrom
3.053 0.000 0.000
-0.009 5.232 0.000
-1.512 -1.263 4.888
ATOMIC_POSITIONS crystal
Mg 0.000 0.000 0.000
V 0.231 0.736 0.462
V 0.769 0.264 0.538
O 0.152 0.349 0.303
O 0.371 0.107 0.742
O 0.629 0.893 0.258
O 0.848 0.651 0.697

=====

Entry 5:
! MgCo3NiO8 | the Materials Project | GGA+U | relaxed; values from VASP
! SG = No. 12
! Formation enthalpy at 0 K = -1.3877 eV/atom
! MP2020-corrected energy = -6.64 eV/atom
&SYSTEM
  ibrav = 0, nat = 13, ntyp = 4
/
ATOMIC_SPECIES
Mg 24.30 Mg.upf
Co 58.93 Co.upf
Ni 58.69 Ni.upf
O 16.00 O.upf
CELL_PARAMETERS angstrom
5.014 -2.889 0.000
5.014 2.889 0.000
-3.338 0.000 4.855
ATOMIC_POSITIONS crystal
Mg 0.000 0.000 0.000
Co 0.000 0.500 0.000
Co 0.500 0.000 0.000
Co 0.500 0.500 0.000
Ni 0.500 0.500 0.500
O 0.248 0.248 0.206
O 0.248 0.709 0.205
O 0.268 0.268 0.804
O 0.291 0.752 0.795
O 0.709 0.248 0.205
O 0.732 0.732 0.196
O 0.752 0.291 0.795
O 0.752 0.752 0.794

=====

Entry 6:
! Ti3Fe3O | the Materials Project | GGA+U | relaxed; values from VASP
! SG = No. 227
! Formation enthalpy at 0 K = 0.9203 eV/atom
! MP2020-corrected energy = -6.80 eV/atom
&SYSTEM
  ibrav = 0, nat = 28, ntyp = 3
/
ATOMIC_SPECIES
Ti 47.87 Ti.upf
Fe 55.84 Fe.upf
O 16.00 O.upf
CELL_PARAMETERS angstrom
0.000 5.765 5.765
5.765 0.000 5.765
5.765 5.765 0.000
ATOMIC_POSITIONS crystal
Ti 0.057 0.057 0.693
Ti 0.057 0.693 0.057
Ti 0.057 0.693 0.693
Ti 0.307 0.307 0.943
Ti 0.307 0.943 0.307
Ti 0.307 0.943 0.943
Ti 0.693 0.057 0.057
Ti 0.693 0.057 0.693
Ti 0.693 0.693 0.057
Ti 0.943 0.307 0.307
Ti 0.943 0.307 0.943
Ti 0.943 0.943 0.307
Fe 0.000 0.500 0.500
Fe 0.290 0.290 0.290
Fe 0.290 0.290 0.629
Fe 0.290 0.629 0.290
Fe 0.371 0.710 0.710
Fe 0.500 0.000 0.500
Fe 0.500 0.500 0.000
Fe 0.500 0.500 0.500
Fe 0.629 0.290 0.290
Fe 0.710 0.371 0.710
Fe 0.710 0.710 0.371
Fe 0.710 0.710 0.710
O 0.000 0.000 0.000
O 0.000 0.000 0.500
O 0.000 0.500 0.000
O 0.500 0.000 0.000

=====

Entry 7:
! TlCrNiF6 | the Materials Project | GGA+U | relaxed; values from VASP
! SG = No. 74
! Formation enthalpy at 0 K = -2.6062 eV/atom
! MP2020-corrected energy = -5.86 eV/atom
&SYSTEM
  ibrav = 0, nat = 18, ntyp = 4
/
ATOMIC_SPECIES
Tl 204.38 Tl.upf
Cr 52.00 Cr.upf
Ni 58.69 Ni.upf
F 19.00 F.upf
CELL_PARAMETERS angstrom
-3.648 3.673 5.196
3.648 -3.673 5.196
3.648 3.673 -5.196
ATOMIC_POSITIONS crystal
Tl 0.368 0.118 0.250
Tl 0.632 0.882 0.750
Cr 0.000 0.500 0.500
Cr 0.500 0.500 0.000
Ni 0.000 0.000 0.500
Ni 0.000 0.500 0.000
F 0.075 0.430 0.259
F 0.075 0.816 0.645
F 0.077 0.827 0.250
F 0.318 0.568 0.750
F 0.329 0.184 0.759
F 0.329 0.570 0.145
F 0.671 0.430 0.855
F 0.671 0.816 0.241
F 0.682 0.432 0.250
F 0.923 0.173 0.750
F 0.925 0.184 0.355
F 0.925 0.570 0.741

=====

Entry 8:
! Sr5La5Mn9CuO30 | the Materials Project | GGA+U | relaxed; values from VASP
! SG = No. 1
! Formation enthalpy at 0 K = -2.6987 eV/atom
! MP2020-corrected energy = -8.06 eV/atom
&SYSTEM
  ibrav = 0, nat = 50, ntyp = 5
/
ATOMIC_SPECIES
Sr 87.62 Sr.upf
La 138.91 La.upf
Mn 54.94 Mn.upf
Cu 63.55 Cu.upf
O 16.00 O.upf
CELL_PARAMETERS angstrom
5.478 0.000 0.000
2.738 4.810 0.000
2.715 1.212 22.499
ATOMIC_POSITIONS crystal
Sr 0.000 0.000 0.000
Sr 0.094 0.100 0.702
Sr 0.297 0.300 0.098
Sr 0.400 0.400 0.800
Sr 0.897 0.900 0.299
La 0.202 0.199 0.398
La 0.500 0.500 0.498
La 0.593 0.601 0.198
La 0.703 0.700 0.900
La 0.793 0.799 0.602
Mn 0.048 0.050 0.850
Mn 0.144 0.149 0.550
Mn 0.246 0.251 0.249
Mn 0.348 0.349 0.950
Mn 0.449 0.448 0.651
Mn 0.551 0.551 0.349
Mn 0.648 0.650 0.050
Mn 0.748 0.749 0.751
Mn 0.948 0.951 0.149
Cu 0.848 0.850 0.449
O 0.006 0.488 0.502
O 0.013 0.520 0.004
O 0.075 0.585 0.691
O 0.096 0.599 0.200
O 0.145 0.230 0.906
O 0.157 0.067 0.193
O 0.203 0.699 0.900
O 0.235 0.732 0.407
O 0.283 0.780 0.095
O 0.299 0.793 0.598
O 0.345 0.415 0.308
O 0.363 0.271 0.590
O 0.394 0.904 0.299
O 0.422 0.913 0.808
O 0.457 0.973 0.492
O 0.501 0.996 0.997
O 0.543 0.486 0.991
O 0.554 0.623 0.705
O 0.600 0.095 0.697
O 0.615 0.132 0.206
O 0.680 0.170 0.894
O 0.683 0.217 0.400
O 0.752 0.813 0.109
O 0.765 0.653 0.391
O 0.793 0.305 0.102
O 0.819 0.334 0.607
O 0.867 0.385 0.289
O 0.896 0.403 0.802
O 0.928 0.032 0.512
O 0.938 0.880 0.795

=====

Entry 9:
! CoF3 | the Materials Project | GGA+U | relaxed; values from VASP
! SG = No. 5
! Formation enthalpy at 0 K = -2.0724 eV/atom
! MP2020-corrected energy = -5.29 eV/atom
&SYSTEM
  ibrav = 0, nat = 12, ntyp = 2
/
ATOMIC_SPECIES
Co 58.93 Co.upf
F 19.00 F.upf
CELL_PARAMETERS angstrom
4.306 -2.531 0.000
4.306 2.531 0.000
-0.100 0.000 7.011
ATOMIC_POSITIONS crystal
Co 0.000 0.000 0.000
Co 0.336 0.334 0.661
Co 0.666 0.664 0.339
F 0.079 0.268 0.826
F 0.279 0.670 0.825
F 0.330 0.721 0.175
F 0.382 0.002 0.499
F 0.619 0.381 0.500
F 0.689 0.054 0.825
F 0.732 0.921 0.174
F 0.946 0.311 0.175
F 0.998 0.618 0.501

=====

Entry 10:
! Sr3MnFeO7 | the Materials Project | GGA+U | relaxed; values from VASP
! SG = No. 5
! Formation enthalpy at 0 K = -2.4925 eV/atom
! MP2020-corrected energy = -7.27 eV/atom
&SYSTEM
  ibrav = 0, nat = 24, ntyp = 4
/
ATOMIC_SPECIES
Sr 87.62 Sr.upf
Mn 54.94 Mn.upf
Fe 55.84 Fe.upf
O 16.00 O.upf
CELL_PARAMETERS angstrom
2.772 -10.074 0.000
2.772 10.074 0.000
-0.004 0.000 5.544
ATOMIC_POSITIONS crystal
Sr 0.000 0.000 0.000
Sr 0.183 0.817 0.000
Sr 0.364 0.636 0.000
Sr 0.500 0.500 0.500
Sr 0.683 0.317 0.500
Sr 0.865 0.135 0.500
Mn 0.084 0.916 0.500
Mn 0.585 0.415 0.000
Fe 0.279 0.721 0.500
Fe 0.779 0.221 0.000
O 0.016 0.460 0.762
O 0.041 0.484 0.263
O 0.182 0.818 0.500
O 0.336 0.163 0.250
O 0.337 0.163 0.750
O 0.376 0.624 0.500
O 0.489 0.511 0.000
O 0.516 0.959 0.737
O 0.540 0.984 0.238
O 0.682 0.318 0.000
O 0.837 0.663 0.250
O 0.837 0.664 0.750
O 0.876 0.124 0.000
O 0.990 0.010 0.500

=====

Entry 11:
! KV3Cd4O12 | the Materials Project | GGA+U | relaxed; values from VASP
! SG = No. 9
! Formation enthalpy at 0 K = -2.0387 eV/atom
! MP2020-corrected energy = -6.61 eV/atom
&SYSTEM
  ibrav = 0, nat = 40, ntyp = 4
/
ATOMIC_SPECIES
K 39.10 K.upf
V 50.94 V.upf
Cd 112.41 Cd.upf
O 16.00 O.upf
CELL_PARAMETERS angstrom
6.588 -6.877 0.000
6.588 6.877 0.000
-3.065 0.000 6.521
ATOMIC_POSITIONS crystal
K 0.032 0.968 0.500
K 0.968 0.032 0.000
V 0.130 0.347 0.886
V 0.298 0.704 0.500
V 0.347 0.130 0.386
V 0.655 0.879 0.112
V 0.704 0.298 0.000
V 0.879 0.655 0.612
Cd 0.062 0.383 0.396
Cd 0.268 0.738 0.007
Cd 0.383 0.062 0.896
Cd 0.476 0.489 0.787
Cd 0.489 0.476 0.287
Cd 0.622 0.938 0.602
Cd 0.738 0.268 0.507
Cd 0.938 0.622 0.102
O 0.012 0.669 0.850
O 0.046 0.399 0.074
O 0.172 0.174 0.373
O 0.174 0.172 0.873
O 0.182 0.732 0.280
O 0.272 0.822 0.719
O 0.288 0.523 0.521
O 0.296 0.477 0.957
O 0.331 0.996 0.151
O 0.399 0.046 0.574
O 0.476 0.717 0.475
O 0.477 0.296 0.457
O 0.519 0.721 0.038
O 0.523 0.288 0.021
O 0.609 0.968 0.929
O 0.669 0.012 0.350
O 0.717 0.476 0.975
O 0.721 0.519 0.538
O 0.732 0.182 0.780
O 0.822 0.272 0.219
O 0.829 0.830 0.128
O 0.830 0.829 0.628
O 0.968 0.609 0.429
O 0.996 0.331 0.651

=====

Entry 12:
! CsNiF3 | the Materials Project | GGA+U | relaxed; values from VASP
! SG = No. 194
! Formation enthalpy at 0 K = -2.6070 eV/atom
! MP2020-corrected energy = -5.09 eV/atom
&SYSTEM
  ibrav = 0, nat = 10, ntyp = 3
/
ATOMIC_SPECIES
Cs 132.91 Cs.upf
Ni 58.69 Ni.upf
F 19.00 F.upf
CELL_PARAMETERS angstrom
6.337 0.000 0.000
-3.168 5.488 0.000
0.000 0.000 5.289
ATOMIC_POSITIONS crystal
Cs 0.333 0.667 0.250
Cs 0.667 0.333 0.750
Ni 0.000 0.000 0.000
Ni 0.000 0.000 0.500
F 0.141 0.283 0.750
F 0.141 0.859 0.750
F 0.283 0.141 0.250
F 0.717 0.859 0.750
F 0.859 0.141 0.250
F 0.859 0.717 0.250

=====

Entry 13:
! K2V8O21 | the Materials Project | GGA+U | relaxed; values from VASP
! SG = No. 12
! Formation enthalpy at 0 K = -2.3372 eV/atom
! MP2020-corrected energy = -8.10 eV/atom
&SYSTEM
  ibrav = 0, nat = 31, ntyp = 3
/
ATOMIC_SPECIES
K 39.10 K.upf
V 50.94 V.upf
O 16.00 O.upf
CELL_PARAMETERS angstrom
7.676 -1.816 0.000
7.676 1.816 0.000
-0.286 0.000 15.088
ATOMIC_POSITIONS crystal
K 0.026 0.026 0.312
K 0.974 0.974 0.688
V 0.188 0.188 0.071
V 0.310 0.310 0.270
V 0.331 0.331 0.479
V 0.409 0.409 0.075
V 0.591 0.591 0.925
V 0.669 0.669 0.521
V 0.690 0.690 0.730
V 0.812 0.812 0.929
O 0.113 0.113 0.144
O 0.117 0.117 0.953
O 0.164 0.164 0.740
O 0.209 0.209 0.526
O 0.213 0.213 0.311
O 0.287 0.287 0.140
O 0.306 0.306 0.967
O 0.385 0.385 0.377
O 0.406 0.406 0.557
O 0.455 0.455 0.174
O 0.500 0.500 0.000
O 0.545 0.545 0.826
O 0.594 0.594 0.443
O 0.615 0.615 0.623
O 0.694 0.694 0.033
O 0.713 0.713 0.860
O 0.787 0.787 0.689
O 0.791 0.791 0.474
O 0.836 0.836 0.260
O 0.883 0.883 0.047
O 0.887 0.887 0.856